1.
The following is a DFT calculation (PBE) of a relaxed CsYZnTe3 crystal.

formation energy from the elements = -7.9 eV per formula unit
total moment = 0.0000 μB/atom

a b c (Å): 4.4598 17.1545 11.7941
angles (deg): 90.00 90.00 90.00
Space group Cmcm (No. 63)
Asymmetric unit:
Cs (0.0000, 0.2450, 0.2500) (multiplicity 4)
Y (0.0000, 0.5000, 0.0000) (multiplicity 4)
Zn (0.0000, 0.0398, 0.7500) (multiplicity 4)
Te (0.0000, 0.1209, 0.5574) (multiplicity 8)
Te (0.0000, 0.4422, 0.7500) (multiplicity 4)


2.
The following is a DFT calculation (PBE) of a relaxed MgBi2O4 crystal.

polymorph energy (0 for the lowest one) = 83 meV/atom
formation energy from the elements = -13.4 eV per formula unit
total moment = 0.0000 μB/atom

a b c (Å): 11.6438 6.9327 16.4049
angles (deg): 90.00 91.33 90.00
Space group Cm (No. 8)
Asymmetric unit:
Mg (0.0000, 0.0000, 0.0000) (multiplicity 2)
Mg (0.0007, 0.0000, 0.6233) (multiplicity 2)
Mg (0.1630, 0.0000, 0.1626) (multiplicity 2)
Mg (0.3266, 0.5000, 0.8429) (multiplicity 2)
Mg (0.3279, 0.0000, 0.3244) (multiplicity 2)
Mg (0.4953, 0.0000, 0.4825) (multiplicity 2)
Bi (0.0699, 0.2475, 0.8310) (multiplicity 4)
Bi (0.1584, 0.5000, 0.6602) (multiplicity 2)
Bi (0.1585, 0.5000, 0.0448) (multiplicity 2)
Bi (0.1697, 0.5000, 0.2850) (multiplicity 2)
Bi (0.2555, 0.2471, 0.4942) (multiplicity 4)
Bi (0.3042, 0.0000, 0.7003) (multiplicity 2)
Bi (0.3301, 0.0000, 0.9469) (multiplicity 2)
Bi (0.4140, 0.2498, 0.1615) (multiplicity 4)
Bi (0.4978, 0.5000, 0.3752) (multiplicity 2)
O (0.0032, 0.0000, 0.7495) (multiplicity 2)
O (0.0048, 0.0000, 0.2406) (multiplicity 2)
O (0.0780, 0.2034, 0.0827) (multiplicity 4)
O (0.0825, 0.2497, 0.5782) (multiplicity 4)
O (0.1394, 0.0000, 0.9149) (multiplicity 2)
O (0.1480, 0.5000, 0.4196) (multiplicity 2)
O (0.1762, 0.5000, 0.9134) (multiplicity 2)
O (0.1873, 0.0000, 0.4062) (multiplicity 2)
O (0.2472, 0.2066, 0.2411) (multiplicity 4)
O (0.2561, 0.2768, 0.7660) (multiplicity 4)
O (0.3214, 0.0000, 0.0810) (multiplicity 2)
O (0.3318, 0.5000, 0.5869) (multiplicity 2)
O (0.3461, 0.5000, 0.0749) (multiplicity 2)
O (0.3552, 0.0000, 0.5599) (multiplicity 2)
O (0.4095, 0.2102, 0.4072) (multiplicity 4)
O (0.4196, 0.2937, 0.9180) (multiplicity 4)
O (0.4787, 0.0000, 0.7438) (multiplicity 2)
O (0.4850, 0.0000, 0.2511) (multiplicity 2)


3.
The following is a DFT calculation (PBE) of a relaxed Ba4Ge20Pt3 crystal.

formation energy from the elements = -10.1 eV per formula unit
total moment = 0.0000 μB/atom

a b c (Å): 10.8958 10.8958 10.8958
angles (deg): 90.00 90.00 90.00
Space group Pm-3n (No. 223)
Asymmetric unit:
Ba (0.0000, 0.0000, 0.0000) (multiplicity 2)
Ba (0.0000, 0.2500, 0.5000) (multiplicity 6)
Ge (0.0000, 0.3155, 0.1200) (multiplicity 24)
Ge (0.1833, 0.1833, 0.1833) (multiplicity 16)
Pt (0.0000, 0.5000, 0.2500) (multiplicity 6)


4.
The following is a DFT calculation (PBE) of a relaxed TlSbAs2PbS6 crystal.

formation energy from the elements = -6.1 eV per formula unit
total moment = 0.0000 μB/atom

a b c (Å): 6.0768 24.6809 8.5392
angles (deg): 90.00 113.69 90.00
Space group P2_1/c (No. 14)
Asymmetric unit:
Tl (0.2349, 0.0620, 0.0982) (multiplicity 4)
Sb (0.0473, 0.0708, 0.5375) (multiplicity 4)
As (0.3416, 0.6536, 0.8111) (multiplicity 4)
As (0.3451, 0.6653, 0.4045) (multiplicity 4)
Pb (0.1360, 0.2457, 0.5566) (multiplicity 4)
S (0.0493, 0.1646, 0.2722) (multiplicity 4)
S (0.0608, 0.1642, 0.7886) (multiplicity 4)
S (0.1160, 0.5123, 0.2275) (multiplicity 4)
S (0.3502, 0.5965, 0.5972) (multiplicity 4)
S (0.3672, 0.7412, 0.5604) (multiplicity 4)
S (0.3786, 0.5853, 0.0073) (multiplicity 4)


5.
The following is a DFT calculation (PBE) of a relaxed CdHg3Te4 crystal.

formation energy from the elements = -3.6 eV per formula unit

a b c (Å): 6.6614 6.6614 6.6614
angles (deg): 90.00 90.00 90.00
Space group P-43m (No. 215)
Asymmetric unit:
Cd (0.0000, 0.0000, 0.0000) (multiplicity 1)
Hg (0.0000, 0.5000, 0.5000) (multiplicity 3)
Te (0.2494, 0.2494, 0.2494) (multiplicity 4)


6.
The following is a DFT calculation (PBE) of a relaxed SiO2 crystal.

formation energy from the elements = -9.8 eV per formula unit

a b c (Å): 7.5712 14.3470 19.1350
angles (deg): 90.00 90.00 90.00
Space group Immm (No. 71)
Asymmetric unit:
Si (0.0000, 0.0000, 0.1539) (multiplicity 4)
Si (0.0000, 0.2009, 0.0837) (multiplicity 8)
Si (0.2064, 0.2019, 0.3248) (multiplicity 16)
Si (0.2064, 0.5000, 0.2266) (multiplicity 8)
O (0.0000, 0.0912, 0.1043) (multiplicity 8)
O (0.0000, 0.2112, 0.0000) (multiplicity 4)
O (0.0000, 0.2175, 0.3442) (multiplicity 8)
O (0.0000, 0.5000, 0.2500) (multiplicity 4)
O (0.1764, 0.0000, 0.2024) (multiplicity 8)
O (0.1765, 0.2508, 0.1141) (multiplicity 16)
O (0.2499, 0.0910, 0.3209) (multiplicity 16)
O (0.2500, 0.2500, 0.2500) (multiplicity 8)


7.
The following is a DFT calculation (PBE) of a relaxed Sm3NbO7 crystal.

polymorph energy (0 for the lowest one) = 0 meV/atom
largest piezoelectric modulus = 0.670 C/m²
formation energy from the elements = -40.5 eV per formula unit

a b c (Å): 7.6763 10.8113 7.6772
angles (deg): 90.00 90.00 90.00
Space group C222_1 (No. 20)
Asymmetric unit:
Sm (0.0265, 0.0000, 0.0000) (multiplicity 4)
Sm (0.2322, 0.2684, 0.7548) (multiplicity 8)
Nb (0.0033, 0.5000, 0.0000) (multiplicity 4)
O (0.0000, 0.1296, 0.2500) (multiplicity 4)
O (0.0000, 0.1364, 0.7500) (multiplicity 4)
O (0.0000, 0.4352, 0.7500) (multiplicity 4)
O (0.1854, 0.3743, 0.0369) (multiplicity 8)
O (0.2013, 0.3778, 0.4736) (multiplicity 8)